NdMgAu2: relaxed, r²SCAN.

Summary:
E   -34.460 eV/atom
Magnetic moment   0.0 μB per cell
Calculated formation energy   -0.7710 eV/atom
Calculated volume   88 Å³ per cell

Structure (POSCAR):
```
NdMgAu2
1.0
0.0000 3.5275 3.5275
3.5275 0.0000 3.5275
3.5275 3.5275 0.0000
Nd Mg Au
1 1 2
Direct
0.0000 0.0000 0.0000
0.5000 0.5000 0.5000
0.2500 0.2500 0.2500
0.7500 0.7500 0.7500
```

=====

Li2Sb: relaxed, r²SCAN.

Summary:
E   -10.837 eV/atom
Magnetic moment   0.0 μB per cell
Calculated formation energy   -0.6772 eV/atom
Calculated volume   351 Å³ per cell

Structure (POSCAR):
```
Li2Sb
1.0
7.9538 0.0000 0.0000
-3.9769 6.8882 0.0000
0.0000 0.0000 6.4028
Li Sb
12 6
Direct
0.0000 0.2960 0.0000
0.0000 0.2960 0.5000
0.0010 0.6299 0.2500
0.2960 0.0000 0.0000
0.2960 0.0000 0.5000
0.3701 0.3711 0.2500
0.3711 0.3701 0.7500
0.6289 0.9990 0.2500
0.6299 0.0010 0.7500
0.7040 0.7040 0.0000
0.7040 0.7040 0.5000
0.9990 0.6289 0.7500
0.0000 0.0000 0.2500
0.0000 0.0000 0.7500
0.3333 0.6667 0.5025
0.3333 0.6667 0.9975
0.6667 0.3333 0.0025
0.6667 0.3333 0.4975
```

=====

BaNaBi: relaxed, r²SCAN.

Summary:
E   -30.442 eV/atom
Magnetic moment   0.0 μB per cell
Calculated formation energy   -0.9204 eV/atom
Calculated volume   338 Å³ per cell

Structure (POSCAR):
```
BaNaBi
1.0
8.6967 0.0000 0.0000
-4.3484 7.5316 0.0000
0.0000 0.0000 5.1607
Ba Na Bi
3 3 3
Direct
0.0000 0.4178 0.0000
0.4178 0.0000 0.0000
0.5822 0.5822 0.0000
0.0000 0.7599 0.5000
0.2401 0.2401 0.5000
0.7599 0.0000 0.5000
0.0000 0.0000 0.0000
0.3333 0.6667 0.5000
0.6667 0.3333 0.5000
```

=====

Q: Among the records above, which one has the highest calculated volume?
A: Li2Sb

=====

What did the first record say?
NdMgAu2: relaxed, r²SCAN.

Summary:
E   -34.460 eV/atom
Magnetic moment   0.0 μB per cell
Calculated formation energy   -0.7710 eV/atom
Calculated volume   88 Å³ per cell

Structure (POSCAR):
```
NdMgAu2
1.0
0.0000 3.5275 3.5275
3.5275 0.0000 3.5275
3.5275 3.5275 0.0000
Nd Mg Au
1 1 2
Direct
0.0000 0.0000 0.0000
0.5000 0.5000 0.5000
0.2500 0.2500 0.2500
0.7500 0.7500 0.7500
```